Entry 1:
Material: Na3PS4
Method: DFT, PBE
State: relaxed

```
8
Lattice="-3.5119 3.5119 3.5119 3.5119 -3.5119 3.5119 3.5119 3.5119 -3.5119" Properties=species:S:1:pos:R:3 pbc="T T T"
Na 3.5119 0.0000 0.0000
Na 0.0000 3.5119 0.0000
Na 0.0000 0.0000 3.5119
P 0.0000 0.0000 0.0000
S 1.1951 1.1951 -1.1951
S 1.1951 -1.1951 1.1951
S -1.1951 1.1951 1.1951
S 2.3168 2.3168 2.3168
```

Output
For the formation energy, the calculation gives -1.1220 eV/atom. The value obtained for the electronic total energy is -4.11 eV/atom. The value obtained for the piezoelectric modulus e_max is 0.9 C/m². As for the space group: I-43m (217). The value obtained for the volume is 21.656 A^3/atom.

Entry 2:
Material: Na2PSe3
Method: DFT, PBE
State: relaxed

```
24
Lattice="5.9702 -6.7166 0.0000 5.9702 6.7166 0.0000 0.0000 0.0000 8.1026" Properties=species:S:1:pos:R:3 pbc="T T T"
Na 5.9702 4.2249 6.8395
Na 2.9851 0.3774 6.0769
Na 2.9851 -0.3774 2.0256
Na 5.9702 2.4916 2.7882
Na 5.9702 -2.4916 5.3143
Na 8.9554 0.3774 6.0769
Na 8.9554 -0.3774 2.0256
Na 5.9702 -4.2249 1.2631
P 5.9702 5.6667 3.6116
P 5.9702 1.0498 7.6628
P 5.9702 -1.0498 0.4397
P 5.9702 -5.6667 4.4910
Se 4.1426 4.6458 4.3191
Se 5.9702 6.0100 1.4209
Se 4.1426 2.0708 0.2678
Se 7.7979 4.6458 4.3191
Se 5.9702 0.7066 5.4721
Se 7.7979 2.0708 0.2678
Se 4.1426 -2.0708 7.8347
Se 5.9702 -0.7066 2.6304
Se 4.1426 -4.6458 3.7834
Se 7.7979 -2.0708 7.8347
Se 5.9702 -6.0100 6.6817
Se 7.7979 -4.6458 3.7834
```

Output
For the formation energy, the calculation gives -0.9392 eV/atom. The value obtained for the electronic total energy is -3.79 eV/atom. As for the space group: Cmce (64). The value obtained for the volume is 27.076 A^3/atom.

Entry 3:
Material: Na4Sr2SiP4
Method: DFT, PBE
State: relaxed

```
22
Lattice="4.6739 -8.0605 0.0000 4.6739 8.0605 0.0000 -0.0701 0.0000 7.3131" Properties=species:S:1:pos:R:3 pbc="T T T"
Na 4.6389 6.9059 3.6566
Na 5.4242 4.2460 1.3985
Na 5.4374 1.2305 0.1587
Na 7.4274 2.3306 3.7737
Na 5.4024 -1.2305 3.8152
Na 5.3892 -4.2460 5.0551
Na 4.6739 -6.9059 0.0000
Na 7.4624 -2.3306 0.1171
Sr 2.6199 0.4449 5.0475
Sr 4.6364 3.8618 5.0451
Sr 2.6549 -0.4449 1.3909
Sr 4.6714 -3.8618 1.3886
Si 2.7585 2.7058 2.2293
Si 2.7234 -2.7058 5.8859
P 2.6519 2.6196 7.2268
P 5.4298 6.4606 6.5549
P 4.6178 1.5644 2.9841
P 2.6870 -2.6196 3.5702
P 7.3110 3.1792 6.5891
P 4.5828 -1.5644 6.6407
P 7.3461 -3.1792 2.9325
P 5.4648 -6.4606 2.8984
```

Output
For the formation energy, the calculation gives -0.6611 eV/atom. The value obtained for the electronic total energy is -3.91 eV/atom. As for the space group: Cc (9). The value obtained for the volume is 25.047 A^3/atom.

Entry 4:
Material: Na5SrTaP4
Method: DFT, PBE
State: relaxed

```
22
Lattice="4.6723 -8.0952 0.0000 4.6723 8.0952 0.0000 -0.0239 0.0000 7.3741" Properties=species:S:1:pos:R:3 pbc="T T T"
Na 4.6604 7.5895 3.6871
Na 2.7823 4.3174 3.6873
Na 2.6456 1.1572 4.9144
Na 2.6575 -1.1572 1.2274
Na 4.7281 2.3153 1.2551
Na 2.7942 -4.3174 0.0003
Na 4.7162 -2.3153 4.9422
Na 6.7297 1.1227 4.9700
Na 6.7416 -1.1227 1.2829
Na 4.6723 -7.5895 0.0000
Sr 6.5719 4.2966 3.6607
Sr 6.5599 -4.2966 7.3478
Ta 4.6961 5.4261 6.5462
Ta 4.7080 -5.4261 2.8591
P 2.0028 1.5626 2.0775
P 4.6778 5.3761 1.5730
P 4.6669 3.1259 5.7830
P 1.9909 -1.5626 5.7646
P 7.3768 1.5777 2.1179
P 4.6788 -3.1259 2.0959
P 4.6659 -5.3761 5.2601
P 7.3649 -1.5777 5.8050
```

Output
For the formation energy, the calculation gives -0.6103 eV/atom. The value obtained for the electronic total energy is -4.41 eV/atom. As for the space group: Cc (9). The value obtained for the volume is 25.356 A^3/atom.

Entry 5:
Material: Na4Sr2TiP4
Method: DFT, PBE
State: relaxed

```
22
Lattice="4.6755 -8.1491 0.0000 4.6755 8.1491 0.0000 -0.0700 0.0000 7.4392" Properties=species:S:1:pos:R:3 pbc="T T T"
Na 4.6405 7.0309 3.7196
Na 5.5730 4.3438 1.3398
Na 5.5963 1.2048 0.1783
Na 7.5167 2.2629 3.8371
Na 5.5613 -1.2048 3.8979
Na 5.5380 -4.3438 5.0594
Na 4.6755 -7.0309 0.0000
Na 7.5517 -2.2629 0.1175
Sr 2.6962 0.4780 5.0745
Sr 4.6778 3.8906 5.0880
Sr 2.7312 -0.4780 1.3549
Sr 4.7128 -3.8906 1.3684
Ti 2.8446 2.7377 2.1613
Ti 2.8096 -2.7377 5.8809
P 2.7345 2.6722 7.1978
P 5.4621 6.5890 6.5942
P 4.7477 1.5472 3.0063
P 2.7695 -2.6722 3.4782
P 4.7127 -1.5472 6.7259
P 7.4178 3.1537 6.6374
P 7.4528 -3.1537 2.9177
P 5.4971 -6.5890 2.8746
```

Output
For the formation energy, the calculation gives -0.7663 eV/atom. The value obtained for the electronic total energy is -4.24 eV/atom. As for the space group: Cc (9). Its spin magnetization is 0.00 μB per cell. The value obtained for the volume is 25.768 A^3/atom.

Entry 6:
Material: Na6P4W
Method: DFT, PBE
State: relaxed

```
22
Lattice="9.1709 0.0000 0.0000 -4.5855 7.9423 0.0000 0.0000 0.0000 7.1925" Properties=species:S:1:pos:R:3 pbc="T T T"
Na -1.8417 4.2315 0.0000
Na 0.0000 2.3485 4.8703
Na -2.5516 6.7680 4.8703
Na 2.0339 1.1743 1.2741
Na 1.8417 4.2315 0.0000
Na 0.0000 7.4215 0.0000
Na 4.5855 0.5208 3.5962
Na 2.7437 3.7108 3.5962
Na 2.5516 6.7680 4.8703
Na 7.1371 1.1743 1.2741
Na 4.5855 5.5938 1.2741
Na 6.4272 3.7108 3.5962
P 0.0000 3.0867 2.0548
P -1.9123 6.3989 2.0548
P 0.0000 5.2949 5.1078
P 2.6732 1.5434 5.6511
P 1.9123 6.3989 2.0548
P 4.5855 2.6474 1.5115
P 6.4978 1.5434 5.6511
P 4.5855 4.8556 5.6511
W 0.0000 5.2949 2.7891
W 4.5855 2.6474 6.3853
```

Output
For the formation energy, the calculation gives -0.4078 eV/atom. The value obtained for the electronic total energy is -4.28 eV/atom. The value obtained for the piezoelectric modulus e_max is 0.4 C/m². As for the space group: P6_3mc (186). The value obtained for the volume is 23.813 A^3/atom.

Entry 7:
Material: Na2ZnP2
Method: DFT, PBE
State: relaxed

```
5
Lattice="3.0722 0.0000 0.0000 0.0000 3.0722 0.0000 0.0000 0.0000 13.0256" Properties=species:S:1:pos:R:3 pbc="T T T"
Na 0.0000 0.0000 1.6100
Na 0.0000 0.0000 11.4156
Zn 0.0000 0.0000 6.5128
P 0.0000 0.0000 4.3053
P 0.0000 0.0000 8.7203
```

Output
For the formation energy, the calculation gives 0.3631 eV/atom. The value obtained for the electronic total energy is -2.58 eV/atom. As for the space group: P4/mmm (123). Its spin magnetization is 0.00 μB per cell. The value obtained for the volume is 24.587 A^3/atom.

Entry 8:
Material: NaPb3
Method: DFT, PBE
State: relaxed

```
4
Lattice="4.9466 0.0000 0.0000 0.0000 4.9466 0.0000 0.0000 0.0000 4.9466" Properties=species:S:1:pos:R:3 pbc="T T T"
Na 0.0000 0.0000 0.0000
Pb 0.0000 2.4733 2.4733
Pb 2.4733 0.0000 2.4733
Pb 2.4733 2.4733 0.0000
```

Output
For the formation energy, the calculation gives -0.1284 eV/atom. The value obtained for the electronic total energy is -3.24 eV/atom. As for the space group: Pm-3m (221). The value obtained for the volume is 30.259 A^3/atom.

Entry 9:
Material: Na15Pb4
Method: DFT, PBE
State: relaxed

```
38
Lattice="-6.6660 6.6660 6.6660 6.6660 -6.6660 6.6660 6.6660 6.6660 -6.6660" Properties=species:S:1:pos:R:3 pbc="T T T"
Na 10.5084 -1.2671 1.7072
Na 2.0659 -0.5093 1.6259
Na 1.6259 2.0659 -0.5093
Na 9.9991 1.6665 0.0000
Na 7.9332 -1.7072 3.8423
Na 5.0402 2.0659 0.5093
Na 6.1567 5.0402 -2.0659
Na 4.9995 0.0000 3.3330
Na -0.5093 1.6259 2.0659
Na 5.0402 -2.0659 6.1567
Na 7.9332 1.7072 2.8237
Na 3.3330 4.9995 0.0000
Na 8.2919 4.6002 0.5093
Na 2.0659 0.5093 5.0402
Na 3.8423 7.9332 -1.7072
Na 0.5093 5.0402 2.0659
Na 5.3989 4.9589 2.8237
Na 4.9589 2.8237 5.3989
Na 0.0000 3.3330 4.9995
Na 4.6002 0.5093 8.2919
Na 1.7072 10.5084 -1.2671
Na 2.8237 7.9332 1.7072
Na 1.6665 0.0000 9.9991
Na 2.8237 5.3989 4.9589
Na 1.7072 2.8237 7.9332
Na -2.0659 6.1567 5.0402
Na 0.0000 9.9991 1.6665
Na -1.7072 3.8423 7.9332
Na -1.2671 1.7072 10.5084
Na 0.5093 8.2919 4.6002
Pb 3.8835 2.7826 -2.7826
Pb 7.2165 -0.5505 0.5505
Pb 2.7826 -2.7826 3.8835
Pb 2.7826 2.7826 2.7826
Pb -2.7826 3.8835 2.7826
Pb 0.5505 7.2165 -0.5505
Pb -0.5505 0.5505 7.2165
Pb 6.1156 6.1156 6.1156
```

Output
For the formation energy, the calculation gives -0.1362 eV/atom. The value obtained for the electronic total energy is -1.96 eV/atom. As for the space group: I-43d (220). The value obtained for the volume is 31.180 A^3/atom.

Entry 10:
Material: Na4Si2PbSe6
Method: DFT, PBE
State: relaxed

```
13
Lattice="3.5724 -6.1735 0.0000 3.5724 6.1735 0.0000 -2.3930 0.0000 7.6700" Properties=species:S:1:pos:R:3 pbc="T T T"
Na 0.0000 0.0000 0.0000
Na 2.3758 4.1359 3.8350
Na 2.3758 0.1264 3.8350
Na 2.3758 -4.1958 3.8350
Si 1.1900 -2.0357 6.4932
Si 3.5616 -2.0357 1.1768
Pb 3.5724 2.1040 0.0000
Se 1.0893 2.2384 1.8891
Se 0.0866 -0.1396 5.7783
Se 1.3766 -2.0338 1.8890
Se 3.6624 2.2384 5.7809
Se 4.6650 -0.1396 1.8917
Se 3.3751 -2.0338 5.7810
```

Output
For the formation energy, the calculation gives -1.0737 eV/atom. The value obtained for the electronic total energy is -4.00 eV/atom. The value obtained for the piezoelectric modulus e_max is 0.2 C/m². As for the space group: C2 (5). Its spin magnetization is 0.00 μB per cell. The value obtained for the volume is 26.023 A^3/atom.

Entry 11:
Material: NaTl2Pb
Method: DFT, PBE
State: relaxed

```
4
Lattice="0.0000 3.9339 3.9339 3.9339 0.0000 3.9339 3.9339 3.9339 0.0000" Properties=species:S:1:pos:R:3 pbc="T T T"
Na 0.0000 0.0000 0.0000
Tl 1.9670 1.9670 1.9670
Tl 5.9009 5.9009 5.9009
Pb 3.9339 3.9339 3.9339
```

Output
For the formation energy, the calculation gives -0.0755 eV/atom. The value obtained for the electronic total energy is -2.52 eV/atom. As for the space group: Fm-3m (225). Its spin magnetization is 0.01 μB per cell. The value obtained for the volume is 30.441 A^3/atom.

Entry 12:
Material: Na2PdSe2
Method: DFT, PBE
State: relaxed

```
10
Lattice="1.8774 -5.4183 0.0000 1.8774 5.4183 0.0000 0.0000 0.0000 11.4099" Properties=species:S:1:pos:R:3 pbc="T T T"
Na 1.8774 4.7243 5.7049
Na 1.8774 1.9014 8.2805
Na 1.8774 -1.9014 2.5755
Na 1.8774 -4.7243 0.0000
Pd 1.8774 1.4772 4.3269
Pd 1.8774 -1.4772 10.0319
Se 1.8774 4.8830 8.6600
Se 1.8774 3.0179 0.0123
Se 1.8774 -3.0179 5.7173
Se 1.8774 -4.8830 2.9551
```

Output
For the formation energy, the calculation gives -0.9965 eV/atom. The value obtained for the electronic total energy is -3.77 eV/atom. The value obtained for the piezoelectric modulus e_max is 0.1 C/m². As for the space group: Cmc2_1 (36). The value obtained for the volume is 23.214 A^3/atom.

Question: Which of these has the lowest volume?
Answer: Na3PS4